# 1
# LiMg3 | Materials Project | r2SCAN | relaxed
# Raw total energy in eV/atom: -3.731
data_LiMg3
_space_group_name_H-M_alt 'P 1'
_space_group_IT_number 1
_space_group_name_Hall 'P 1'
_cell_length_a 4.411
_cell_length_b 4.411
_cell_length_c 4.411
_cell_angle_alpha 90.00
_cell_angle_beta 90.00
_cell_angle_gamma 90.00
loop_
_atom_site_label
_atom_site_type_symbol
_atom_site_fract_x
_atom_site_fract_y
_atom_site_fract_z
_atom_site_occupancy
Li1 Li 0.000 0.000 0.000 1
Mg1 Mg 0.000 0.500 0.500 1
Mg2 Mg 0.500 0.000 0.500 1
Mg3 Mg 0.500 0.500 0.000 1

# 2
# ZnAu | Materials Project | r2SCAN | relaxed
# Raw total energy in eV/atom: -29.970
data_ZnAu
_space_group_name_H-M_alt 'P 1'
_space_group_IT_number 1
_space_group_name_Hall 'P 1'
_cell_length_a 3.150
_cell_length_b 3.150
_cell_length_c 3.150
_cell_angle_alpha 90.00
_cell_angle_beta 90.00
_cell_angle_gamma 90.00
loop_
_atom_site_label
_atom_site_type_symbol
_atom_site_fract_x
_atom_site_fract_y
_atom_site_fract_z
_atom_site_occupancy
Zn1 Zn 0.000 0.000 0.000 1
Au1 Au 0.500 0.500 0.500 1

# 3
# CaYbAl4 | Materials Project | r2SCAN | relaxed
# Raw total energy in eV/atom: -12.184
data_CaYbAl4
_space_group_name_H-M_alt 'P 1'
_space_group_IT_number 1
_space_group_name_Hall 'P 1'
_cell_length_a 5.547
_cell_length_b 5.547
_cell_length_c 5.547
_cell_angle_alpha 60.00
_cell_angle_beta 60.00
_cell_angle_gamma 60.00
loop_
_atom_site_label
_atom_site_type_symbol
_atom_site_fract_x
_atom_site_fract_y
_atom_site_fract_z
_atom_site_occupancy
Ca1 Ca 0.000 0.000 0.000 1
Yb1 Yb 0.250 0.250 0.250 1
Al1 Al 0.126 0.625 0.625 1
Al2 Al 0.625 0.126 0.625 1
Al3 Al 0.625 0.625 0.126 1
Al4 Al 0.625 0.625 0.625 1

no.,energy of formation from the pure elements (eV per atom)
1,-0.008
2,-0.222
3,-0.435